# 1
DFT (GGA-PBE) results for a relaxed structure of LiV2S4.

```
LiV2S4
1.0
-3.507 3.507 5.101
3.507 -3.507 5.101
3.507 3.507 -5.101
Li V S
2 4 8
Cartesian
3.507 1.754 1.275
0.000 1.754 3.826
0.000 0.000 0.000
1.754 1.754 -2.551
1.754 -1.754 2.551
0.000 3.507 0.000
3.507 3.404 -2.676
1.651 1.754 -0.126
1.856 -1.754 4.975
3.507 -0.103 2.676
0.000 3.610 2.425
1.651 5.261 0.126
1.856 1.754 5.227
0.000 0.103 7.778
```

Properties
- total magnetization (μB per formula unit) = 3.000
- total DFT energy (no corrections) (Ha/atom) = -0.2264
- formation enthalpy at 0 K (meV per atom) = -1215
- space-group type = I4_1/amd (141)

***

# 2
DFT (GGA-PBE) results for a relaxed structure of Sm5Pb3.

```
Sm5Pb3
1.0
9.261 0.000 0.000
-4.630 8.020 0.000
0.000 0.000 6.807
Sm Pb
10 6
Cartesian
-1.109 1.920 1.702
-3.522 6.100 5.105
2.217 0.000 1.702
1.109 1.920 5.105
0.000 5.347 0.000
0.000 5.347 3.403
4.630 2.673 0.000
4.630 2.673 3.403
7.044 0.000 5.105
3.522 6.100 1.702
-1.827 3.164 5.105
-2.803 4.856 1.702
3.654 0.000 5.105
1.827 3.164 1.702
5.607 0.000 1.702
2.803 4.856 5.105
```

Properties
- total DFT energy (no corrections) (Ha/atom) = -0.1796
- formation enthalpy at 0 K (meV per atom) = -547
- space-group type = P6_3/mcm (193)